No. 1
The following is a DFT calculation (PBE) of ZnH after structural relaxation. Values from VASP.

## Properties
E   -1.91 eV/atom
Formation enthalpy at 0 K   0.7 eV per formula unit
Magnetic moment   0.00 μB per cell
Corrected total energy (MP2020 scheme)   -2.000 eV per atom

```
&SYSTEM
  ibrav = 0, nat = 4, ntyp = 2
/
ATOMIC_SPECIES
H 1.01 H.upf
Zn 65.41 Zn.upf
CELL_PARAMETERS angstrom
1.346 -2.332 0.000
1.346 2.332 0.000
0.000 0.000 6.586
ATOMIC_POSITIONS angstrom
H 1.346 0.777 0.338
H 1.346 -0.777 3.632
Zn 1.346 0.777 2.132
Zn 1.346 -0.777 5.425
```

=====

No. 2
The following is a DFT calculation (PBE) of LiCu6OF11 after structural relaxation. Values from VASP.

## Properties
Energy relative to the lowest polymorph listed for this composition   0.85 eV/f.u.
E   -4.22 eV/atom
Formation enthalpy at 0 K   -33.4 eV per formula unit
Magnetic moment   0.00 μB per cell
Corrected total energy (MP2020 scheme)   -4.522 eV per atom

```
&SYSTEM
  ibrav = 0, nat = 19, ntyp = 4
/
ATOMIC_SPECIES
F 19.00 F.upf
Cu 63.55 Cu.upf
Li 6.94 Li.upf
O 16.00 O.upf
CELL_PARAMETERS angstrom
0.287 -1.487 -5.208
-2.005 -4.020 1.084
-8.399 3.654 -1.392
ATOMIC_POSITIONS angstrom
F -9.224 -0.905 -4.084
F -0.995 -2.030 -3.946
F -3.470 -0.134 -3.632
F -3.679 0.130 -0.881
F -6.849 0.855 -3.024
F -3.459 -2.354 0.245
F -6.557 -1.606 -2.010
F -1.010 -1.018 -1.344
F -6.585 0.452 -5.758
F -9.036 0.090 -1.547
F -6.336 -2.011 -4.631
Cu -1.414 -2.854 -1.900
Cu -3.066 -2.012 -4.290
Cu -6.775 0.168 -1.245
Cu -5.779 1.573 -4.414
Cu -8.381 3.597 -1.382
Cu -4.344 -3.401 -1.121
Li -5.206 -2.297 -3.154
O -3.236 -2.626 -2.487
```

=====

No. 3
The following is a DFT calculation (PBE) of RuPbO3 after structural relaxation. Values from VASP.

## Properties
E   -6.46 eV/atom
Formation enthalpy at 0 K   -6.5 eV per formula unit
Magnetic moment   1.78 μB per cell
Corrected total energy (MP2020 scheme)   -6.871 eV per atom

```
&SYSTEM
  ibrav = 0, nat = 5, ntyp = 3
/
ATOMIC_SPECIES
Ru 101.07 Ru.upf
O 16.00 O.upf
Pb 207.20 Pb.upf
CELL_PARAMETERS angstrom
4.000 0.000 0.000
0.000 4.000 0.000
0.000 0.000 4.000
ATOMIC_POSITIONS angstrom
Ru 0.000 0.000 0.000
O 0.000 0.000 2.000
O 2.000 0.000 0.000
O 0.000 2.000 0.000
Pb 2.000 2.000 2.000
```

=====

No. 4
The following is a DFT calculation (PBE) of Tl3In3SnSe8 after structural relaxation. Values from VASP.

## Properties
E   -3.35 eV/atom
Formation enthalpy at 0 K   -6.7 eV per formula unit
Magnetic moment   0.00 μB per cell
Corrected total energy (MP2020 scheme)   -3.602 eV per atom

```
&SYSTEM
  ibrav = 0, nat = 15, ntyp = 4
/
ATOMIC_SPECIES
In 114.82 In.upf
Se 78.96 Se.upf
Tl 204.38 Tl.upf
Sn 118.71 Sn.upf
CELL_PARAMETERS angstrom
1.373 -6.275 1.693
4.991 -2.200 -3.791
7.989 2.298 6.979
ATOMIC_POSITIONS angstrom
In 6.981 0.519 3.812
In 1.825 -5.766 1.008
In 8.155 -5.814 -0.118
Se 5.311 -1.781 4.087
Se 4.324 -3.736 1.023
Se 8.221 -0.392 7.096
Se 7.777 -5.822 2.712
Se 7.156 -2.298 -1.490
Se 4.829 -7.253 -0.240
Se 9.402 -3.149 4.810
Se 10.189 -0.512 1.838
Tl 3.628 -3.736 -1.724
Tl 11.081 -4.211 2.891
Tl 4.130 -1.000 0.690
Sn 8.010 -2.150 1.177
```

=====

No. 5
The following is a DFT calculation (PBE) of Cr2CuS4 after structural relaxation. Values from VASP.

## Properties
Energy relative to the lowest polymorph listed for this composition   0.77 eV/f.u.
E   -6.23 eV/atom
Formation enthalpy at 0 K   -5.7 eV per formula unit
Magnetic moment   10.06 μB per cell
Corrected total energy (MP2020 scheme)   -6.519 eV per atom

```
&SYSTEM
  ibrav = 0, nat = 14, ntyp = 3
/
ATOMIC_SPECIES
Cr 52.00 Cr.upf
S 32.06 S.upf
Cu 63.55 Cu.upf
CELL_PARAMETERS angstrom
4.817 4.588 -1.888
1.246 -3.267 -4.761
-3.937 2.997 -2.759
ATOMIC_POSITIONS angstrom
Cr -1.968 1.499 -1.380
Cr 0.440 3.793 -2.324
Cr 2.267 3.306 -5.176
Cr -0.141 1.012 -4.232
S 1.751 2.037 -3.244
S 4.160 4.331 -4.187
S 1.207 -0.766 -5.112
S 0.374 2.281 -6.164
S -1.490 2.789 -3.352
S 2.783 4.575 -7.109
S 0.919 5.084 -4.296
S 3.616 1.529 -6.056
Cu 3.654 -0.973 -5.705
Cu -2.691 -0.270 -7.520
```

=====

No. 6
The following is a DFT calculation (PBE) of Y16B4C8I19 after structural relaxation. Values from VASP.

## Properties
E   -6.02 eV/atom
Formation enthalpy at 0 K   -57.2 eV per formula unit
Magnetic moment   0.02 μB per cell
Corrected total energy (MP2020 scheme)   -6.174 eV per atom

```
&SYSTEM
  ibrav = 0, nat = 94, ntyp = 4
/
ATOMIC_SPECIES
B 10.81 B.upf
Y 88.91 Y.upf
I 126.90 I.upf
C 12.01 C.upf
CELL_PARAMETERS angstrom
-12.607 0.000 0.000
5.608 13.354 0.000
-0.134 -5.409 -19.091
ATOMIC_POSITIONS angstrom
B -3.511 2.363 -15.172
B -3.588 3.109 -9.297
B -3.640 5.073 -5.625
B -3.493 2.871 -13.465
B -3.622 5.582 -3.918
B -3.545 4.835 -9.794
B -3.478 7.540 -0.248
B -3.655 0.404 -18.843
Y -3.540 3.304 -0.822
Y -0.098 9.314 -0.799
Y -1.888 4.427 -7.787
Y -1.898 1.733 -17.340
Y -5.244 3.518 -11.304
Y -5.273 3.441 -4.232
Y -0.136 6.552 -10.384
Y -0.307 1.153 -8.746
Y -1.842 6.145 -1.756
Y -1.972 0.636 -13.783
Y -5.158 0.753 -13.762
Y -2.086 3.354 -4.213
Y -3.694 0.596 -10.367
Y -3.546 6.436 -11.972
Y -6.825 6.791 -10.344
Y -1.860 4.503 -14.859
Y -3.593 4.641 -18.269
Y -5.282 4.529 -7.798
Y -3.383 9.156 -2.431
Y -6.807 9.420 -0.839
Y -3.749 -1.211 -16.659
Y -1.851 3.415 -11.293
Y -5.161 7.309 -5.307
Y -0.326 -1.476 -18.252
Y -6.997 1.393 -8.707
Y -3.587 1.508 -7.119
Y -7.034 -1.370 -18.292
Y -5.234 6.212 -1.751
Y -1.975 7.192 -5.329
Y -3.439 7.348 -8.724
Y -5.047 4.590 -14.878
Y -5.291 1.800 -17.335
I -3.337 -1.880 -12.830
I -1.567 -3.459 -16.352
I 0.461 0.250 -15.747
I -3.796 9.824 -6.261
I -8.222 3.821 -10.488
I 0.577 4.808 -12.890
I -9.930 0.221 -8.359
I -7.509 6.929 -7.349
I 1.090 4.124 -8.603
I -7.582 3.903 -2.185
I -6.789 -1.488 -15.230
I -5.215 9.397 -10.289
I -7.398 2.756 -14.298
I 0.265 5.188 -4.793
I -5.566 11.403 -2.739
I 2.830 10.516 -1.091
I -7.710 3.136 -6.201
I -9.963 -2.571 -17.999
I -0.448 8.367 -7.938
I -0.344 9.432 -3.861
I 2.797 7.724 -10.732
I -1.348 8.624 -12.236
I 1.165 6.324 -0.963
I -6.684 -0.422 -11.153
I -6.414 7.048 -13.411
I -1.918 -1.452 -8.802
I 0.449 4.042 -16.906
I -0.719 0.897 -5.680
I -5.785 -0.679 -6.855
I -4.110 0.867 -3.171
I -1.746 11.923 -1.011
I -0.615 2.107 -1.593
I -5.387 -3.978 -18.079
I -7.594 7.694 -3.343
I -6.518 5.837 -17.497
I 0.376 1.015 -11.742
I -3.022 7.077 -15.920
I -8.298 1.621 -18.128
C -3.654 3.524 -6.026
C -2.079 8.279 -0.476
C -3.516 3.449 -16.330
C -4.977 2.349 -9.083
C -4.901 5.651 -10.028
C -5.053 -0.334 -18.614
C -3.555 1.788 -12.304
C -4.828 8.372 -0.467
C -3.584 0.817 -15.578
C -2.232 2.294 -9.063
C -3.578 6.156 -6.787
C -2.156 5.595 -10.008
C -3.549 7.128 -3.513
C -3.479 4.420 -13.065
C -3.617 4.496 -2.761
C -2.305 -0.427 -18.624
```

=====

No. 7
The following is a DFT calculation (PBE) of K3Ir after structural relaxation. Values from VASP.

## Properties
Energy relative to the lowest polymorph listed for this composition   0.00 eV/f.u.
E   -2.32 eV/atom
Formation enthalpy at 0 K   2.9 eV per formula unit
Magnetic moment   0.01 μB per cell

```
&SYSTEM
  ibrav = 0, nat = 4, ntyp = 2
/
ATOMIC_SPECIES
K 39.10 K.upf
Ir 192.22 Ir.upf
CELL_PARAMETERS angstrom
-2.750 2.750 4.218
2.750 -2.750 4.218
2.750 2.750 -4.218
ATOMIC_POSITIONS angstrom
K 2.750 0.000 2.109
K 0.000 0.000 4.218
K 0.000 2.750 2.109
Ir 0.000 0.000 0.000
```

=====

No. 8
The following is a DFT calculation (PBE) of MoWSe4 after structural relaxation. Values from VASP.

## Properties
Energy relative to the lowest polymorph listed for this composition   0.75 eV/f.u.
E   -6.91 eV/atom
Formation enthalpy at 0 K   -5.6 eV per formula unit
Magnetic moment   0.00 μB per cell
Corrected total energy (MP2020 scheme)   -7.227 eV per atom

```
&SYSTEM
  ibrav = 0, nat = 12, ntyp = 3
/
ATOMIC_SPECIES
W 183.84 W.upf
Se 78.96 Se.upf
Mo 95.94 Mo.upf
CELL_PARAMETERS angstrom
1.661 -2.878 0.000
1.661 2.878 0.000
0.000 0.000 37.851
ATOMIC_POSITIONS angstrom
W 1.661 0.959 3.555
W 1.661 -0.959 34.295
Se 1.661 0.959 8.990
Se 1.661 -0.959 5.240
Se 1.661 0.959 32.611
Se 1.661 0.959 12.343
Se 1.661 -0.959 25.508
Se 1.661 0.959 35.980
Se 1.661 -0.959 1.871
Se 1.661 -0.959 28.860
Mo 1.661 -0.959 10.667
Mo 1.661 0.959 27.184
```

=====

No. 9
The following is a DFT calculation (PBE) of CeSe2 after structural relaxation. Values from VASP.

## Properties
E   -5.37 eV/atom
Formation enthalpy at 0 K   -4.1 eV per formula unit
Magnetic moment   0.00 μB per cell
Corrected total energy (MP2020 scheme)   -5.688 eV per atom

```
&SYSTEM
  ibrav = 0, nat = 9, ntyp = 2
/
ATOMIC_SPECIES
Ce 140.12 Ce.upf
Se 78.96 Se.upf
CELL_PARAMETERS angstrom
4.353 -7.540 0.000
4.353 7.540 0.000
0.000 0.000 9.551
ATOMIC_POSITIONS angstrom
Ce 2.176 -3.770 4.776
Ce 2.176 3.770 1.592
Ce 4.353 0.000 7.959
Se 3.024 1.746 0.000
Se 5.682 -1.746 0.000
Se 3.024 -1.746 6.367
Se 5.682 1.746 6.367
Se 4.353 4.048 3.184
Se 4.353 -4.048 3.184
```

=====

No. 10
The following is a DFT calculation (PBE) of Ti3AlSe2ClO8 after structural relaxation. Values from VASP.

## Properties
E   -6.93 eV/atom
Formation enthalpy at 0 K   -33.6 eV per formula unit
Magnetic moment   0.00 μB per cell
Corrected total energy (MP2020 scheme)   -7.295 eV per atom

```
&SYSTEM
  ibrav = 0, nat = 30, ntyp = 5
/
ATOMIC_SPECIES
O 16.00 O.upf
Ti 47.87 Ti.upf
Al 26.98 Al.upf
Se 78.96 Se.upf
Cl 35.45 Cl.upf
CELL_PARAMETERS angstrom
7.578 0.000 0.000
0.055 8.288 0.000
1.350 0.110 8.941
ATOMIC_POSITIONS angstrom
O 2.309 5.264 0.884
O 5.533 0.883 6.098
O 4.709 6.970 5.158
O 0.624 1.472 0.455
O 3.270 0.593 1.007
O 5.643 6.859 7.813
O 6.680 3.199 5.207
O 7.396 0.503 7.885
O 2.741 5.337 3.723
O 2.789 8.050 3.612
O 7.650 3.145 7.989
O 1.039 7.490 1.729
O 1.582 6.449 8.279
O 4.545 2.056 3.804
O 0.850 1.557 3.227
O 7.572 7.422 5.200
Ti 4.694 7.967 0.141
Ti 7.459 7.964 0.166
Ti 4.015 0.617 4.794
Ti 7.034 1.996 6.600
Ti 1.097 0.409 4.593
Ti 2.619 6.457 2.283
Al 6.149 7.435 6.227
Al 1.727 0.884 1.829
Se 3.395 5.675 5.416
Se 5.728 3.406 3.731
Se 2.746 5.109 8.330
Se 6.693 2.683 0.762
Cl 2.488 1.530 6.269
Cl 5.034 6.474 1.962
```

=====

No. 11
The following is a DFT calculation (PBE) of YB3H18C2S after structural relaxation. Values from VASP.

## Properties
E   -4.65 eV/atom
Formation enthalpy at 0 K   -6.5 eV per formula unit
Magnetic moment   0.12 μB per cell
Corrected total energy (MP2020 scheme)   -4.666 eV per atom

```
&SYSTEM
  ibrav = 0, nat = 100, ntyp = 5
/
ATOMIC_SPECIES
B 10.81 B.upf
H 1.01 H.upf
Y 88.91 Y.upf
C 12.01 C.upf
S 32.06 S.upf
CELL_PARAMETERS angstrom
5.528 0.000 0.000
0.000 22.547 0.000
-1.539 0.000 8.133
ATOMIC_POSITIONS angstrom
B 2.407 17.024 7.135
B 0.798 15.038 0.554
B 3.975 13.114 2.491
B 1.581 5.523 0.999
B 3.177 16.797 3.068
B 3.205 20.707 6.557
B 0.028 18.783 4.621
B 3.190 7.510 7.579
B 3.960 3.764 3.512
B 0.811 5.751 5.065
B 0.014 9.433 5.643
B 0.783 1.840 1.576
H 1.047 8.906 5.221
H -1.494 14.362 7.980
H -0.095 2.715 1.580
H 4.383 21.125 2.088
H 2.172 20.180 6.978
H 0.151 14.512 5.541
H 4.853 13.989 2.487
H 2.988 20.996 5.364
H 1.499 17.682 6.626
H 1.400 14.262 1.294
H 3.067 3.238 6.659
H 0.375 9.851 1.979
H 3.515 17.279 6.667
H 1.811 6.709 1.227
H 2.510 11.312 5.824
H 1.719 6.408 5.574
H 4.084 19.832 6.553
H 0.630 19.559 5.361
H 3.900 22.238 3.410
H -0.297 6.005 5.533
H 3.757 12.825 1.298
H 0.003 15.691 7.953
H -0.581 17.978 5.322
H 4.285 16.542 2.600
H 0.772 18.130 3.887
H 0.473 5.268 1.467
H 2.941 13.641 2.912
H 0.709 0.038 6.376
H 0.013 5.260 7.931
H -0.865 8.559 5.646
H 3.986 6.857 0.180
H 4.331 12.137 3.096
H 0.231 9.723 6.835
H 3.975 17.287 0.202
H -0.724 19.459 3.914
H 2.947 17.982 2.839
H 0.858 10.964 0.657
H 0.783 6.013 3.865
H 3.216 4.417 4.246
H 0.089 0.309 4.724
H 0.693 13.039 4.679
H 1.817 2.368 1.155
H 2.589 8.286 6.839
H 2.489 4.865 1.507
H 3.206 16.534 4.268
H 1.855 14.378 5.004
H 3.280 22.509 1.758
H 0.189 15.843 1.255
H 1.042 4.565 5.294
H 0.921 19.309 1.475
H 3.562 21.684 7.163
H -0.394 1.422 6.045
H 1.001 1.551 2.769
H 4.713 3.089 4.220
H 4.569 4.569 2.812
H 3.837 8.035 2.592
H 1.463 20.782 0.612
H 0.427 0.863 0.970
H 3.800 6.704 6.878
H 3.358 2.988 2.772
H 2.625 19.443 0.937
H 3.130 11.583 7.476
H 5.482 8.185 0.153
H 2.526 1.765 7.521
H 2.177 15.839 6.906
H 1.363 3.104 7.196
H 2.269 16.139 2.559
H 3.613 12.696 6.154
H 1.478 11.236 2.309
H 3.295 9.508 3.454
H -0.343 10.410 5.037
H 2.133 8.169 3.129
Y 1.201 3.750 3.106
Y 2.788 18.798 5.027
Y 0.431 7.524 7.173
Y 3.557 15.023 0.961
C 3.572 21.746 2.488
C 2.229 2.549 6.813
C 2.999 8.724 2.746
C 1.186 10.472 1.578
C 0.990 13.823 5.387
C 1.759 19.998 1.320
C 0.416 0.802 5.645
C 2.802 12.075 6.555
S 1.358 13.068 6.985
S 2.631 9.479 1.149
S 2.127 20.753 2.918
S 1.861 1.795 5.215
```

=====

No. 12
The following is a DFT calculation (PBE) of TbMn12 after structural relaxation. Values from VASP.

## Properties
E   -8.81 eV/atom
Formation enthalpy at 0 K   0.1 eV per formula unit
Magnetic moment   2.89 μB per cell

```
&SYSTEM
  ibrav = 0, nat = 13, ntyp = 2
/
ATOMIC_SPECIES
Mn 54.94 Mn.upf
Tb 158.93 Tb.upf
CELL_PARAMETERS angstrom
-3.839 1.648 4.770
-0.019 0.400 -6.328
-0.731 -6.282 0.455
ATOMIC_POSITIONS angstrom
Mn -2.919 -2.959 3.336
Mn -1.939 1.224 -3.943
Mn -2.489 -3.912 1.019
Mn -2.101 -0.321 -2.123
Mn -1.652 -1.675 1.888
Mn -0.271 -2.125 -2.122
Mn -2.975 -0.036 0.416
Mn -0.479 -3.756 -3.751
Mn -3.849 1.848 1.606
Mn -2.295 -2.117 -0.552
Mn -1.615 -4.198 -1.520
Mn -0.366 -3.141 0.227
Tb 0.000 0.000 0.000
```

=====

No. 13
The following is a DFT calculation (PBE) of Ce4CdIr after structural relaxation. Values from VASP.

## Properties
E   -5.91 eV/atom
Formation enthalpy at 0 K   -1.9 eV per formula unit
Magnetic moment   16.45 μB per cell

```
&SYSTEM
  ibrav = 0, nat = 24, ntyp = 3
/
ATOMIC_SPECIES
Cd 112.41 Cd.upf
Ce 140.12 Ce.upf
Ir 192.22 Ir.upf
CELL_PARAMETERS angstrom
0.000 6.899 6.899
6.899 0.000 6.899
6.899 6.899 0.000
ATOMIC_POSITIONS angstrom
Cd 7.991 5.806 5.806
Cd 5.806 5.806 7.991
Cd 7.991 7.991 7.991
Cd 5.806 7.991 5.806
Ce 2.680 6.899 6.899
Ce 10.348 12.942 10.348
Ce 8.978 4.819 8.978
Ce 6.899 2.680 6.899
Ce 6.899 11.117 6.899
Ce 10.348 10.348 12.942
Ce 10.348 7.754 10.348
Ce 7.754 10.348 10.348
Ce 6.899 6.899 11.117
Ce 6.899 6.899 2.680
Ce 4.819 4.819 4.819
Ce 4.819 8.978 8.978
Ce 10.348 10.348 7.754
Ce 11.117 6.899 6.899
Ce 8.978 8.978 4.819
Ce 12.942 10.348 10.348
Ir 4.960 1.939 4.960
Ir 1.939 1.939 1.939
Ir 1.939 4.960 4.960
Ir 4.960 4.960 1.939
```